a | 10
Lattice="6.621 0.000 0.000 0.000 6.621 0.000 0.000 0.000 6.938" Properties=species:S:1:pos:R:3 comment="TaTe4 PBE relaxed" space_group="P4/mcc (124)" pbc="T T T"
Ta 0.000 0.000 5.203
Ta 0.000 0.000 1.734
Te 2.130 0.933 3.469
Te 4.490 5.688 3.469
Te 2.130 5.688 0.000
Te 4.490 0.933 0.000
Te 0.933 4.490 3.469
Te 5.688 2.130 3.469
Te 5.688 4.490 0.000
Te 0.933 2.130 0.000

=====

b | 60
Lattice="9.374 0.000 0.000 0.000 9.374 0.000 0.000 0.000 20.910" Properties=species:S:1:pos:R:3 comment="TaTe4 PBE relaxed" space_group="P4/ncc (130)" pbc="T T T"
Ta 4.687 0.000 19.472
Ta 0.000 4.687 11.893
Ta 0.000 4.687 1.438
Ta 4.687 0.000 9.017
Ta 4.687 0.000 4.942
Ta 0.000 4.687 5.513
Ta 0.000 4.687 15.968
Ta 4.687 0.000 15.397
Ta 4.687 0.000 1.766
Ta 0.000 4.687 8.688
Ta 0.000 4.687 19.143
Ta 4.687 0.000 12.221
Te 6.910 8.514 0.070
Te 2.465 0.860 0.070
Te 8.514 6.910 10.385
Te 3.827 7.152 0.070
Te 5.547 2.222 0.070
Te 7.152 3.827 10.385
Te 2.222 5.547 10.385
Te 0.860 2.465 10.385
Te 7.152 5.547 20.840
Te 2.222 3.827 20.840
Te 5.547 7.152 10.525
Te 0.860 6.910 20.840
Te 2.428 0.792 13.893
Te 3.895 7.115 13.893
Te 5.479 2.259 13.893
Te 7.115 3.895 17.472
Te 2.259 5.479 17.472
Te 6.946 8.582 13.893
Te 0.792 2.428 17.472
Te 8.582 6.946 17.472
Te 2.259 3.895 7.017
Te 0.792 6.946 7.017
Te 8.582 2.428 7.017
Te 6.946 0.792 3.438
Te 2.428 8.582 3.438
Te 7.115 5.479 7.017
Te 3.895 2.259 3.438
Te 5.479 7.115 3.438
Te 6.686 0.899 17.437
Te 3.788 1.999 17.437
Te 5.586 7.375 17.437
Te 1.999 3.788 13.927
Te 7.375 5.586 13.927
Te 2.688 8.475 17.437
Te 0.899 6.686 13.927
Te 8.475 2.688 13.927
Te 7.375 3.788 3.473
Te 0.899 2.688 3.473
Te 8.475 6.686 3.473
Te 2.688 0.899 6.982
Te 6.686 8.475 6.982
Te 1.999 5.586 3.473
Te 3.788 7.375 6.982
Te 5.586 1.999 6.982
Te 3.827 2.222 10.525
Te 2.465 8.514 10.525
Te 6.910 0.860 10.525
Te 8.514 2.465 20.840

=====

Least stable = a

=====

a | 3
Lattice="-7.680 0.726 4.437 -8.792 -0.532 1.272 -7.564 -2.792 3.767" Properties=species:S:1:pos:R:3 comment="Tb PBE relaxed" space_group="R-3m (166)" pbc="T T T"
Tb 0.000 0.000 0.000
Tb -18.693 -2.021 7.369
Tb -5.342 -0.578 2.106

=====

b | 6
Lattice="-1.540 0.852 -3.113 0.966 -3.381 0.650 -15.636 -3.143 6.874" Properties=species:S:1:pos:R:3 comment="Tb PBE relaxed" space_group="P6_3/mmc (194)" pbc="T T T"
Tb -15.039 -3.440 4.443
Tb -3.909 -0.786 1.718
Tb -9.825 -2.392 2.151
Tb -6.386 -3.280 2.260
Tb -11.727 -2.357 5.155
Tb -1.171 -2.232 -0.032

=====

Least stable = b

=====

a | 1
Lattice="2.010 2.010 2.010 2.010 -2.010 -2.010 -2.010 2.010 -2.010" Properties=species:S:1:pos:R:3 comment="Tb PBE relaxed" space_group="Im-3m (229)" pbc="T T T"
Tb 0.000 0.000 0.000

=====

b | 1
Lattice="0.000 2.518 2.518 2.518 0.000 2.518 2.518 2.518 0.000" Properties=species:S:1:pos:R:3 comment="Tb PBE relaxed" space_group="Fm-3m (225)" pbc="T T T"
Tb 0.000 0.000 0.000

=====

Least stable = a

=====

a | 10
Lattice="4.368 -6.061 -0.062 7.235 -0.356 1.833 -0.073 -2.546 7.773" Properties=species:S:1:pos:R:3 comment="Tl2Te3 PBE relaxed" space_group="C2/c (15)" pbc="T T T"
Tl 6.567 -6.198 5.061
Tl 4.029 -5.825 7.777
Tl 4.963 -2.766 4.483
Tl 7.501 -3.139 1.768
Te 9.114 -6.284 1.748
Te 1.624 -3.057 3.361
Te 2.416 -2.680 7.796
Te 9.906 -5.907 6.183
Te 4.741 -5.919 2.140
Te 6.789 -3.044 7.405

=====

b | 10
Lattice="3.478 6.011 0.000 -3.478 6.011 0.000 0.000 5.251 8.831" Properties=species:S:1:pos:R:3 comment="Tl2Te3 PBE relaxed" space_group="Cc (9)" pbc="T T T"
Tl 0.449 6.028 4.700
Tl -0.449 3.403 0.285
Tl 0.773 11.766 2.699
Tl -0.773 14.391 7.114
Te 1.528 6.371 0.200
Te -1.528 8.996 4.616
Te 2.617 8.749 3.582
Te -2.617 11.375 7.997
Te -0.150 8.379 2.163
Te 0.150 11.005 6.578

=====

Least stable = b

=====

a | 16
Lattice="-4.537 4.537 6.534 4.537 -4.537 6.534 4.537 4.537 -6.534" Properties=species:S:1:pos:R:3 comment="Tl5Te3 PBE relaxed" space_group="I4/mcm (140)" pbc="T T T"
Tl 3.188 1.349 4.494
Tl 1.349 3.188 2.041
Tl 0.000 0.000 6.534
Tl 0.000 0.000 0.000
Tl 5.886 -1.349 4.494
Tl 1.349 5.886 4.494
Tl -1.349 3.188 4.494
Tl 5.886 1.349 2.041
Tl 3.188 -1.349 2.041
Tl -1.349 5.886 2.041
Te 1.429 3.108 6.534
Te 1.429 5.966 0.000
Te 3.108 -1.429 6.534
Te 3.108 1.429 0.000
Te 0.000 0.000 3.267
Te 0.000 0.000 9.801

=====

b | 16
Lattice="3.536 4.576 7.359 -8.584 2.091 3.089 2.430 -8.870 -1.736" Properties=species:S:1:pos:R:3 comment="Tl5Te3 PBE relaxed" m_tot_mub_per_cell=0.00 space_group="I-4 (82)" pbc="T T T"
Tl 1.891 0.420 3.003
Tl 3.063 1.050 7.022
Tl -0.756 -0.511 6.174
Tl 2.687 -2.880 5.494
Tl -4.497 -2.537 5.696
Tl -5.596 -3.271 1.705
Tl -1.925 -1.702 2.477
Tl -5.337 0.620 3.275
Tl -1.304 1.722 2.698
Tl -3.744 4.945 7.750
Te 0.026 2.663 6.789
Te -3.855 0.790 6.299
Te 1.181 -2.919 2.528
Te -2.587 -4.940 1.807
Te 0.000 0.000 0.000
Te -2.524 3.334 5.224

=====

Least stable = b

=====

a | 32
Lattice="13.207 0.000 0.000 0.000 8.800 0.000 0.000 0.000 8.333" Properties=species:S:1:pos:R:3 comment="U3Te5 PBE relaxed" m_tot_mub_per_cell=30.60 space_group="Pnma (62)" pbc="T T T"
U 2.392 8.772 0.211
U 8.996 4.428 3.955
U 10.815 4.372 8.122
U 4.211 0.028 4.378
U 10.815 0.028 8.122
U 4.211 4.372 4.378
U 2.392 4.428 0.211
U 8.996 8.772 3.955
U 0.073 2.200 4.850
U 6.677 2.200 7.650
U 13.134 6.600 3.483
U 6.530 6.600 0.683
Te 11.898 3.970 2.744
Te 5.295 0.430 1.423
Te 1.309 8.370 5.590
Te 7.913 4.830 6.911
Te 1.309 4.830 5.590
Te 7.913 8.370 6.911
Te 11.898 0.430 2.744
Te 5.295 3.970 1.423
Te 2.393 2.200 2.741
Te 8.997 2.200 1.426
Te 10.814 6.600 5.593
Te 4.210 6.600 6.908
Te 0.005 2.200 8.030
Te 6.609 2.200 4.470
Te 13.202 6.600 0.303
Te 6.599 6.600 3.864
Te 10.320 2.200 5.819
Te 3.716 2.200 6.681
Te 2.887 6.600 2.514
Te 9.491 6.600 1.652

=====

b | 32
Lattice="-0.942 3.727 1.506 -9.233 -5.911 8.856 11.714 -1.554 11.176" Properties=species:S:1:pos:R:3 comment="U3Te5 PBE relaxed" m_tot_mub_per_cell=31.97 space_group="Pnma (62)" pbc="T T T"
U 7.770 -1.913 12.428
U -6.231 -1.825 9.110
U -0.371 -2.600 14.695
U 1.910 -1.138 6.843
U 1.251 -5.908 18.238
U 0.288 2.170 3.300
U 2.806 -0.745 12.090
U -1.267 -2.993 9.447
U 6.271 -0.576 8.178
U -4.732 -3.162 13.359
U 4.075 -2.051 16.118
U -2.536 -1.687 5.420
Te -7.840 -4.617 9.356
Te 9.379 0.879 12.182
Te 0.401 -0.341 9.587
Te 1.138 -3.397 11.951
Te 4.768 -2.970 13.166
Te -3.229 -0.768 8.372
Te -1.135 -3.954 17.569
Te 2.674 0.216 3.969
Te 2.063 -4.518 15.305
Te -0.524 0.780 6.233
Te 5.870 0.346 11.306
Te -4.331 -4.084 10.232
Te -5.578 -2.714 6.060
Te 7.117 -1.024 15.477
Te 3.839 1.405 7.415
Te -2.301 -5.143 14.123
Te -1.320 -0.370 2.921
Te 2.859 -3.368 18.617
Te -2.123 -2.031 12.190
Te 3.662 -1.707 9.348

=====

Least stable = a

=====

a | 1
Lattice="0.863 -3.175 1.114 -1.350 1.823 2.631 -2.345 -0.265 -2.549" Properties=species:S:1:pos:R:3 comment="Th PBE relaxed" space_group="Im-3m (229)" pbc="T T T"
Th 0.000 0.000 0.000

=====

b | 1
Lattice="2.926 -1.944 -0.609 0.227 -3.324 1.267 -0.136 -2.773 -2.236" Properties=species:S:1:pos:R:3 comment="Th PBE relaxed" space_group="Fm-3m (225)" pbc="T T T"
Th 0.000 0.000 0.000

=====

Least stable = a

=====

a | 4
Lattice="1.656 -2.869 0.000 1.656 2.869 0.000 0.000 0.000 10.785" Properties=species:S:1:pos:R:3 comment="ThZr3 PBE relaxed" m_tot_mub_per_cell=0.00 space_group="P-6m2 (187)" pbc="T T T"
Th 1.656 0.956 0.000
Zr 1.656 0.956 5.392
Zr 0.000 0.000 2.859
Zr 0.000 0.000 7.926

=====

b | 4
Lattice="3.284 0.000 0.000 0.000 3.284 0.000 0.000 0.000 9.449" Properties=species:S:1:pos:R:3 comment="ThZr3 PBE relaxed" m_tot_mub_per_cell=0.00 space_group="P4/mmm (123)" pbc="T T T"
Th 0.000 0.000 0.000
Zr 1.642 1.642 6.949
Zr 0.000 0.000 4.725
Zr 1.642 1.642 2.500

=====

Least stable = b